# Li2MnV4NiO12

Crystalline Li2MnV4NiO12 at its relaxed geometry (PBE+U, the Materials Project).

a = 6.964 Å, b = 6.964 Å, c = 5.741 Å
α = 105.62°, β = 105.62°, γ = 83.35°
Element x y z (fractional)
Li 0.000 0.000 0.000
Li 0.517 0.483 0.500
Mn 0.845 0.155 0.500
V 0.155 0.430 0.018
V 0.368 0.039 0.482
V 0.570 0.845 0.982
V 0.961 0.632 0.518
Ni 0.671 0.329 0.000
O 0.107 0.608 0.811
O 0.115 0.607 0.315
O 0.131 0.149 0.429
O 0.392 0.893 0.189
O 0.393 0.885 0.685
O 0.403 0.351 0.093
O 0.549 0.220 0.605
O 0.649 0.597 0.907
O 0.738 0.046 0.098
O 0.780 0.451 0.395
O 0.851 0.869 0.571
O 0.954 0.262 0.902

Space-group type: C2, No. 5
Electronic total energy: -7.01 eV/atom
Magnetic moment: 0.4500 μB/atom
ΔH_f (0 K): -2250 meV per atom